First-principles (PBE) data for an optimized crystal structure of Sb4H8C2S7N, as listed in the Materials Project database.

Cell lengths 7.789, 7.789, 26.349 Å; angles 90.00, 90.00, 99.06 degrees
Positions (direct):
Sb 0.034 0.966 0.889
Sb 0.097 0.296 0.680
Sb 0.136 0.864 0.744
Sb 0.204 0.403 0.820
Sb 0.296 0.097 0.320
Sb 0.364 0.636 0.244
Sb 0.403 0.204 0.180
Sb 0.466 0.534 0.389
Sb 0.534 0.466 0.611
Sb 0.597 0.796 0.820
Sb 0.636 0.364 0.756
Sb 0.704 0.903 0.680
Sb 0.796 0.597 0.180
Sb 0.864 0.136 0.256
Sb 0.903 0.704 0.320
Sb 0.966 0.034 0.111
H 0.018 0.391 0.446
H 0.046 0.734 0.498
H 0.101 0.193 0.457
H 0.109 0.482 0.054
H 0.120 0.880 0.601
H 0.193 0.101 0.543
H 0.234 0.546 0.998
H 0.248 0.752 0.576
H 0.252 0.748 0.076
H 0.266 0.954 0.498
H 0.307 0.399 0.043
H 0.380 0.620 0.101
H 0.391 0.018 0.554
H 0.399 0.307 0.957
H 0.454 0.766 0.998
H 0.482 0.109 0.946
H 0.518 0.891 0.054
H 0.546 0.234 0.002
H 0.601 0.693 0.043
H 0.609 0.982 0.446
H 0.620 0.380 0.899
H 0.693 0.601 0.957
H 0.734 0.046 0.502
H 0.748 0.252 0.924
H 0.752 0.248 0.424
H 0.766 0.454 0.002
H 0.807 0.899 0.457
H 0.880 0.120 0.399
H 0.891 0.518 0.946
H 0.899 0.807 0.543
H 0.954 0.266 0.502
H 0.982 0.609 0.554
C 0.011 0.740 0.538
C 0.240 0.511 0.038
C 0.260 0.989 0.538
C 0.489 0.760 0.038
C 0.511 0.240 0.962
C 0.740 0.011 0.462
C 0.760 0.489 0.962
C 0.989 0.260 0.462
S 0.057 0.943 0.225
S 0.071 0.295 0.320
S 0.080 0.283 0.903
S 0.080 0.920 0.983
S 0.137 0.863 0.376
S 0.205 0.429 0.180
S 0.217 0.420 0.597
S 0.283 0.080 0.097
S 0.295 0.071 0.680
S 0.363 0.637 0.876
S 0.420 0.217 0.403
S 0.420 0.580 0.483
S 0.429 0.205 0.820
S 0.443 0.557 0.725
S 0.557 0.443 0.275
S 0.571 0.795 0.180
S 0.580 0.420 0.517
S 0.580 0.783 0.597
S 0.637 0.363 0.124
S 0.705 0.929 0.320
S 0.717 0.920 0.903
S 0.783 0.580 0.403
S 0.795 0.571 0.820
S 0.863 0.137 0.624
S 0.920 0.080 0.017
S 0.920 0.717 0.097
S 0.929 0.705 0.680
S 0.943 0.057 0.775
N 0.163 0.837 0.567
N 0.337 0.663 0.067
N 0.663 0.337 0.933
N 0.837 0.163 0.433

- space group = Cmce (64)
- formation energy (eV/atom) = -0.392
- size of the total moment (μB/cell) = 0.06